(one)
The following is a DFT calculation (PBE+U) of crystalline Li8NiO5F at its relaxed geometry.

abc: 5.514 5.514 10.851
angles: 90.00 90.00 120.00
Positions (direct):
Ni (0.000, 0.000, 0.489)
Ni (0.000, 0.000, 0.989)
O (0.320, 0.322, 0.948)
O (0.322, 0.002, 0.448)
O (0.000, 0.000, 0.171)
O (0.667, 0.333, 0.713)
O (0.000, 0.000, 0.671)
O (0.998, 0.320, 0.448)
O (0.002, 0.680, 0.948)
O (0.678, 0.998, 0.948)
O (0.333, 0.667, 0.213)
O (0.680, 0.678, 0.448)
Li (0.362, 0.381, 0.121)
Li (0.981, 0.362, 0.621)
Li (0.667, 0.333, 0.915)
Li (0.688, 0.711, 0.272)
Li (0.333, 0.667, 0.415)
Li (0.312, 0.289, 0.772)
Li (0.638, 0.619, 0.621)
Li (0.667, 0.333, 0.426)
Li (0.024, 0.312, 0.272)
Li (0.381, 0.019, 0.621)
Li (0.976, 0.688, 0.772)
Li (0.333, 0.667, 0.926)
Li (0.711, 0.024, 0.772)
Li (0.289, 0.976, 0.272)
Li (0.019, 0.638, 0.121)
Li (0.619, 0.981, 0.121)
F (0.333, 0.667, 0.708)
F (0.667, 0.333, 0.208)

(two)
The following is a DFT calculation (PBE+U) of crystalline Li8NiO5F at its relaxed geometry.

abc: 5.332 9.435 5.913
angles: 84.61 112.30 77.32
Positions (direct):
Li (0.093, 0.885, 0.459)
Li (0.794, 0.234, 0.130)
Li (0.893, 0.619, 0.032)
Li (0.469, 0.058, 0.301)
Li (0.523, 0.948, 0.708)
Li (0.093, 0.385, 0.959)
Li (0.523, 0.448, 0.209)
Li (0.794, 0.733, 0.630)
Li (0.368, 0.146, 0.868)
Li (0.231, 0.266, 0.396)
Li (0.675, 0.829, 0.146)
Li (0.368, 0.646, 0.368)
Li (0.231, 0.766, 0.896)
Li (0.675, 0.329, 0.646)
Li (0.893, 0.119, 0.532)
Li (0.469, 0.558, 0.801)
O (0.585, 0.632, 0.130)
O (0.774, 0.034, 0.195)
O (0.886, 0.321, 0.433)
O (0.205, 0.468, 0.285)
O (0.106, 0.182, 0.050)
O (0.886, 0.822, 0.933)
O (0.774, 0.534, 0.694)
O (0.585, 0.132, 0.630)
O (0.106, 0.682, 0.550)
O (0.205, 0.968, 0.785)
F (0.438, 0.366, 0.905)
F (0.438, 0.866, 0.405)
Ni (0.962, 0.512, 0.462)
Ni (0.961, 0.012, 0.962)

Calculated values
Maximum piezoelectric response   1.370 C/m2

The most stable arrangement is (one), and the next structure is 14 meV/atom less stable.

(one)
The following is a DFT calculation (PBE+U) of crystalline Mg2MnWO6 at its relaxed geometry.

abc: 5.261 5.641 7.695
angles: 95.48 89.96 90.23
Positions (direct):
W (0.501, 0.476, 0.504)
W (0.001, 0.976, 0.004)
O (0.680, 0.762, 0.589)
O (0.642, 0.442, 0.272)
O (0.351, 0.436, 0.738)
O (0.363, 0.145, 0.451)
O (0.684, 0.119, 0.949)
O (0.184, 0.619, 0.449)
O (0.863, 0.645, 0.951)
O (0.180, 0.262, 0.089)
O (0.288, 0.797, 0.100)
O (0.851, 0.936, 0.238)
O (0.788, 0.297, 0.600)
O (0.142, 0.942, 0.772)
Mg (0.001, 0.575, 0.705)
Mg (0.000, 0.569, 0.207)
Mg (0.500, 0.069, 0.707)
Mg (0.501, 0.075, 0.205)
Mn (0.500, 0.504, 0.992)
Mn (0.999, 0.004, 0.492)

(two)
The following is a DFT calculation (PBE+U) of crystalline Mg2MnWO6 at its relaxed geometry.

abc: 5.563 5.563 5.312
angles: 63.33 63.33 70.09
Positions (direct):
O (0.694, 0.812, 0.096)
O (0.188, 0.306, 0.904)
O (0.811, 0.373, 0.700)
O (0.183, 0.892, 0.702)
O (0.108, 0.817, 0.298)
O (0.627, 0.189, 0.300)
Mg (0.927, 0.658, 0.748)
Mg (0.342, 0.073, 0.252)
Mn (0.543, 0.457, 0.500)
W (0.945, 0.055, 0.000)

The most stable arrangement is (one), and the next structure is 102 meV/atom less stable.

(one)
The following is a DFT calculation (PBE+U) of crystalline Ba2MgNi2O6 at its relaxed geometry.

abc: 5.537 6.271 5.277
angles: 107.09 89.96 116.24
Positions (direct):
Ni (0.000, 0.999, 0.990)
Ni (0.000, 0.999, 0.490)
Ba (0.707, 0.413, 0.680)
Ba (0.293, 0.585, 0.301)
O (0.154, 0.307, 0.786)
O (0.697, 0.869, 0.723)
O (0.827, 0.129, 0.257)
O (0.846, 0.692, 0.194)
O (0.173, 0.869, 0.723)
O (0.303, 0.129, 0.257)
Mg (0.500, 0.999, 0.990)

(two)
The following is a DFT calculation (PBE+U) of crystalline Ba2MgNi2O6 at its relaxed geometry.

abc: 6.277 5.505 5.455
angles: 90.00 109.22 116.01
Positions (direct):
O (0.090, 0.279, 0.768)
O (0.090, 0.811, 0.768)
O (0.919, 0.718, 0.243)
O (0.340, 0.170, 0.326)
O (0.515, 0.757, 0.677)
O (0.919, 0.201, 0.243)
Ba (0.657, 0.328, 0.795)
Ba (0.450, 0.725, 0.166)
Ni (0.044, 0.022, 0.505)
Ni (0.020, 0.010, 0.015)
Mg (0.123, 0.562, 0.525)

The most stable arrangement is (one), and the next structure is 20 meV/atom less stable.

(one)
The following is a DFT calculation (PBE+U) of crystalline CoPH12O9 at its relaxed geometry.

abc: 7.965 13.253 10.862
angles: 90.00 90.00 90.00
Positions (direct):
H (0.966, 0.248, 0.465)
H (0.534, 0.748, 0.535)
H (0.855, 0.446, 0.000)
H (0.018, 0.717, 0.253)
H (0.425, 0.885, 0.722)
H (0.156, 0.235, 0.000)
H (0.176, 0.009, 0.000)
H (0.824, 0.991, 0.000)
H (0.324, 0.509, 0.000)
H (0.482, 0.217, 0.747)
H (0.355, 0.054, 0.000)
H (0.925, 0.615, 0.722)
H (0.367, 0.331, 0.880)
H (0.867, 0.169, 0.880)
H (0.133, 0.831, 0.120)
H (0.518, 0.783, 0.747)
H (0.982, 0.283, 0.747)
H (0.334, 0.855, 0.000)
H (0.145, 0.554, 0.000)
H (0.075, 0.385, 0.722)
H (0.133, 0.831, 0.880)
H (0.518, 0.783, 0.253)
H (0.676, 0.491, 0.000)
H (0.925, 0.615, 0.278)
H (0.834, 0.645, 0.000)
H (0.425, 0.885, 0.278)
H (0.482, 0.217, 0.253)
H (0.367, 0.331, 0.120)
H (0.867, 0.169, 0.120)
H (0.575, 0.115, 0.278)
H (0.534, 0.748, 0.465)
H (0.982, 0.283, 0.253)
H (0.034, 0.752, 0.465)
H (0.633, 0.669, 0.880)
H (0.666, 0.145, 0.000)
H (0.844, 0.765, 0.000)
H (0.645, 0.946, 0.000)
H (0.018, 0.717, 0.747)
H (0.466, 0.252, 0.465)
H (0.166, 0.355, 0.000)
H (0.633, 0.669, 0.120)
H (0.966, 0.248, 0.535)
H (0.575, 0.115, 0.722)
H (0.344, 0.735, 0.000)
H (0.075, 0.385, 0.278)
H (0.466, 0.252, 0.535)
H (0.034, 0.752, 0.535)
H (0.656, 0.265, 0.000)
O (0.206, 0.491, 0.000)
O (0.465, 0.351, 0.172)
O (0.963, 0.356, 0.264)
O (0.882, 0.099, 0.275)
O (0.037, 0.644, 0.736)
O (0.334, 0.523, 0.500)
O (0.382, 0.401, 0.275)
O (0.268, 0.792, 0.000)
O (0.463, 0.144, 0.736)
O (0.465, 0.351, 0.828)
O (0.382, 0.401, 0.725)
O (0.535, 0.649, 0.828)
O (0.037, 0.644, 0.264)
O (0.535, 0.649, 0.172)
O (0.035, 0.851, 0.828)
O (0.732, 0.208, 0.000)
O (0.035, 0.851, 0.172)
O (0.618, 0.599, 0.725)
O (0.537, 0.856, 0.264)
O (0.166, 0.023, 0.500)
O (0.463, 0.144, 0.264)
O (0.963, 0.356, 0.736)
O (0.618, 0.599, 0.275)
O (0.882, 0.099, 0.725)
O (0.706, 0.009, 0.000)
O (0.965, 0.149, 0.828)
O (0.834, 0.977, 0.500)
O (0.768, 0.708, 0.000)
O (0.794, 0.509, 0.000)
O (0.666, 0.477, 0.500)
O (0.118, 0.901, 0.725)
O (0.294, 0.991, 0.000)
O (0.537, 0.856, 0.736)
O (0.232, 0.292, 0.000)
O (0.118, 0.901, 0.275)
O (0.965, 0.149, 0.172)
Co (0.000, 0.000, 0.355)
Co (0.500, 0.500, 0.645)
Co (0.500, 0.500, 0.355)
Co (0.000, 0.000, 0.645)
P (0.139, 0.517, 0.500)
P (0.361, 0.017, 0.500)
P (0.861, 0.483, 0.500)
P (0.639, 0.983, 0.500)

(two)
The following is a DFT calculation (PBE+U) of crystalline CoPH12O9 at its relaxed geometry.

abc: 7.174 10.800 13.219
angles: 90.00 90.00 90.00
Positions (direct):
O (0.125, 0.000, 0.109)
O (0.693, 0.720, 0.585)
O (0.299, 0.500, 0.532)
O (0.625, 0.000, 0.391)
O (0.480, 0.242, 0.363)
O (0.986, 0.000, 0.382)
O (0.014, 0.000, 0.618)
O (0.031, 0.265, 0.671)
O (0.031, 0.735, 0.671)
O (0.701, 0.500, 0.468)
O (0.486, 0.000, 0.118)
O (0.807, 0.280, 0.085)
O (0.799, 0.500, 0.968)
O (0.980, 0.242, 0.137)
O (0.693, 0.280, 0.585)
O (0.020, 0.758, 0.863)
O (0.193, 0.280, 0.915)
O (0.514, 0.000, 0.882)
O (0.969, 0.265, 0.329)
O (0.307, 0.720, 0.415)
O (0.520, 0.758, 0.637)
O (0.969, 0.735, 0.329)
O (0.307, 0.280, 0.415)
O (0.375, 0.000, 0.609)
O (0.875, 0.000, 0.891)
O (0.520, 0.242, 0.637)
O (0.480, 0.758, 0.363)
O (0.201, 0.500, 0.032)
O (0.980, 0.758, 0.137)
O (0.193, 0.720, 0.915)
O (0.020, 0.242, 0.863)
O (0.531, 0.735, 0.829)
O (0.807, 0.720, 0.085)
O (0.531, 0.265, 0.829)
O (0.469, 0.735, 0.171)
O (0.469, 0.265, 0.171)
H (0.448, 0.819, 0.143)
H (0.548, 0.925, 0.387)
H (0.208, 0.000, 0.772)
H (0.154, 0.000, 0.612)
H (0.464, 0.740, 0.286)
H (0.536, 0.740, 0.714)
H (0.952, 0.925, 0.887)
H (0.552, 0.819, 0.857)
H (0.482, 0.000, 0.811)
H (0.399, 0.281, 0.851)
H (0.601, 0.281, 0.149)
H (0.952, 0.075, 0.887)
H (0.018, 0.000, 0.311)
H (0.346, 0.000, 0.112)
H (0.101, 0.719, 0.351)
H (0.548, 0.075, 0.387)
H (0.294, 0.000, 0.329)
H (0.601, 0.719, 0.149)
H (0.518, 0.000, 0.189)
H (0.399, 0.719, 0.851)
H (0.899, 0.281, 0.649)
H (0.452, 0.075, 0.613)
H (0.964, 0.740, 0.214)
H (0.101, 0.281, 0.351)
H (0.052, 0.181, 0.643)
H (0.452, 0.925, 0.613)
H (0.846, 0.000, 0.388)
H (0.794, 0.000, 0.171)
H (0.464, 0.260, 0.286)
H (0.552, 0.181, 0.857)
H (0.036, 0.740, 0.786)
H (0.048, 0.075, 0.113)
H (0.708, 0.000, 0.728)
H (0.036, 0.260, 0.786)
H (0.899, 0.719, 0.649)
H (0.948, 0.819, 0.357)
H (0.206, 0.000, 0.829)
H (0.448, 0.181, 0.143)
H (0.654, 0.000, 0.888)
H (0.052, 0.819, 0.643)
H (0.706, 0.000, 0.671)
H (0.948, 0.181, 0.357)
H (0.292, 0.000, 0.272)
H (0.964, 0.260, 0.214)
H (0.048, 0.925, 0.113)
H (0.982, 0.000, 0.689)
H (0.536, 0.260, 0.714)
H (0.792, 0.000, 0.228)
Co (0.000, 0.359, 0.000)
Co (0.500, 0.641, 0.500)
Co (0.000, 0.641, 0.000)
Co (0.500, 0.359, 0.500)
P (0.865, 0.500, 0.546)
P (0.135, 0.500, 0.454)
P (0.365, 0.500, 0.954)
P (0.635, 0.500, 0.046)

The most stable arrangement is (one), and the next structure is 21 meV/atom less stable.